{
  "formula": "CaFe3P3H2O13",
  "functional": "GGA+U",
  "state": "optimized geometry",
  "lattice_angstrom": [[0.000, -11.797, 0.000], [-12.732, 0.000, 0.000], [0.000, 0.000, -12.846]],
  "species": ["Ca", "Ca", "Ca", "Ca", "Ca", "Ca", "Ca", "Ca", "Fe", "Fe", "Fe", "Fe", "Fe", "Fe", "Fe", "Fe", "Fe", "Fe", "Fe", "Fe", "Fe", "Fe", "Fe", "Fe", "Fe", "Fe", "Fe", "Fe", "Fe", "Fe", "Fe", "Fe", "P", "P", "P", "P", "P", "P", "P", "P", "P", "P", "P", "P", "P", "P", "P", "P", "P", "P", "P", "P", "P", "P", "P", "P", "H", "H", "H", "H", "H", "H", "H", "H", "H", "H", "H", "H", "H", "H", "H", "H", "O", "O", "O", "O", "O", "O", "O", "O", "O", "O", "O", "O", "O", "O", "O", "O", "O", "O", "O", "O", "O", "O", "O", "O", "O", "O", "O", "O", "O", "O", "O", "O", "O", "O", "O", "O", "O", "O", "O", "O", "O", "O", "O", "O", "O", "O", "O", "O", "O", "O", "O", "O", "O", "O", "O", "O", "O", "O", "O", "O", "O", "O", "O", "O", "O", "O", "O", "O", "O", "O", "O", "O", "O", "O", "O", "O", "O", "O", "O", "O", "O", "O", "O", "O", "O", "O", "O", "O", "O", "O", "O", "O", "O", "O", "O", "O", "O", "O", "O", "O", "O", "O", "O", "O"],
  "fractional_positions": [[0.001, 0.244, 0.876], [0.499, 0.744, 0.124], [0.501, 0.756, 0.624], [0.999, 0.256, 0.376], [0.999, 0.756, 0.124], [0.501, 0.256, 0.876], [0.499, 0.244, 0.376], [0.001, 0.744, 0.624], [0.237, 0.148, 0.709], [0.263, 0.648, 0.291], [0.737, 0.852, 0.791], [0.763, 0.352, 0.209], [0.763, 0.852, 0.291], [0.737, 0.352, 0.709], [0.263, 0.148, 0.209], [0.237, 0.648, 0.791], [0.965, 0.990, 0.715], [0.535, 0.490, 0.285], [0.465, 0.010, 0.785], [0.035, 0.510, 0.215], [0.035, 0.010, 0.285], [0.465, 0.510, 0.715], [0.535, 0.990, 0.215], [0.965, 0.490, 0.785], [0.771, 0.171, 0.041], [0.729, 0.671, 0.959], [0.271, 0.829, 0.459], [0.229, 0.329, 0.541], [0.229, 0.829, 0.959], [0.271, 0.329, 0.041], [0.729, 0.171, 0.541], [0.771, 0.671, 0.459], [0.232, 0.888, 0.701], [0.268, 0.388, 0.299], [0.732, 0.112, 0.799], [0.768, 0.612, 0.201], [0.768, 0.112, 0.299], [0.732, 0.612, 0.701], [0.268, 0.888, 0.201], [0.232, 0.388, 0.799], [0.762, 0.905, 0.557], [0.738, 0.405, 0.443], [0.262, 0.095, 0.943], [0.238, 0.595, 0.057], [0.238, 0.095, 0.443], [0.262, 0.595, 0.557], [0.738, 0.905, 0.057], [0.762, 0.405, 0.943], [0.978, 0.236, 0.624], [0.522, 0.736, 0.376], [0.478, 0.764, 0.876], [0.022, 0.264, 0.124], [0.022, 0.764, 0.376], [0.478, 0.264, 0.624], [0.522, 0.236, 0.124], [0.978, 0.736, 0.876], [0.067, 0.003, 0.910], [0.433, 0.503, 0.090], [0.567, 0.997, 0.590], [0.933, 0.497, 0.410], [0.933, 0.997, 0.090], [0.567, 0.497, 0.910], [0.433, 0.003, 0.410], [0.067, 0.503, 0.590], [0.931, 0.999, 0.919], [0.569, 0.499, 0.081], [0.431, 0.001, 0.581], [0.069, 0.501, 0.419], [0.069, 0.001, 0.081], [0.431, 0.501, 0.919], [0.569, 0.999, 0.419], [0.931, 0.499, 0.581], [0.802, 0.171, 0.885], [0.698, 0.671, 0.115], [0.302, 0.829, 0.615], [0.198, 0.329, 0.385], [0.198, 0.829, 0.115], [0.302, 0.329, 0.885], [0.698, 0.171, 0.385], [0.802, 0.671, 0.615], [0.604, 0.182, 0.046], [0.896, 0.682, 0.954], [0.104, 0.818, 0.454], [0.396, 0.318, 0.546], [0.396, 0.818, 0.954], [0.104, 0.318, 0.046], [0.896, 0.182, 0.546], [0.604, 0.682, 0.454], [0.771, 0.183, 0.199], [0.729, 0.683, 0.801], [0.271, 0.817, 0.301], [0.229, 0.317, 0.699], [0.229, 0.817, 0.801], [0.271, 0.317, 0.199], [0.729, 0.183, 0.699], [0.771, 0.683, 0.301], [0.791, 0.015, 0.033], [0.709, 0.515, 0.967], [0.291, 0.985, 0.467], [0.209, 0.485, 0.533], [0.209, 0.985, 0.967], [0.291, 0.485, 0.033], [0.709, 0.015, 0.533], [0.791, 0.515, 0.467], [0.941, 0.200, 0.051], [0.559, 0.700, 0.949], [0.441, 0.800, 0.449], [0.059, 0.300, 0.551], [0.059, 0.800, 0.949], [0.441, 0.300, 0.051], [0.559, 0.200, 0.551], [0.941, 0.700, 0.449], [0.758, 0.338, 0.045], [0.742, 0.838, 0.955], [0.258, 0.662, 0.455], [0.242, 0.162, 0.545], [0.242, 0.662, 0.955], [0.258, 0.162, 0.045], [0.742, 0.338, 0.545], [0.758, 0.838, 0.455], [0.421, 0.188, 0.703], [0.079, 0.688, 0.297], [0.921, 0.812, 0.797], [0.579, 0.312, 0.203], [0.579, 0.812, 0.297], [0.921, 0.312, 0.703], [0.079, 0.188, 0.203], [0.421, 0.688, 0.797], [0.183, 0.148, 0.862], [0.317, 0.648, 0.138], [0.683, 0.852, 0.638], [0.817, 0.352, 0.362], [0.817, 0.852, 0.138], [0.683, 0.352, 0.862], [0.317, 0.148, 0.362], [0.183, 0.648, 0.638], [0.294, 0.991, 0.728], [0.206, 0.491, 0.272], [0.794, 0.009, 0.772], [0.706, 0.509, 0.228], [0.706, 0.009, 0.272], [0.794, 0.509, 0.728], [0.206, 0.991, 0.228], [0.294, 0.491, 0.772], [0.039, 0.150, 0.690], [0.461, 0.650, 0.310], [0.539, 0.850, 0.810], [0.961, 0.350, 0.190], [0.961, 0.850, 0.310], [0.539, 0.350, 0.690], [0.461, 0.150, 0.190], [0.039, 0.650, 0.810], [0.995, 0.027, 0.879], [0.505, 0.527, 0.121], [0.495, 0.973, 0.621], [0.005, 0.473, 0.379], [0.005, 0.973, 0.121], [0.495, 0.473, 0.879], [0.505, 0.027, 0.379], [0.995, 0.527, 0.621], [0.886, 0.909, 0.594], [0.614, 0.409, 0.406], [0.386, 0.091, 0.906], [0.114, 0.591, 0.094], [0.114, 0.091, 0.406], [0.386, 0.591, 0.594], [0.614, 0.909, 0.094], [0.886, 0.409, 0.906], [0.110, 0.907, 0.665], [0.390, 0.407, 0.335], [0.610, 0.093, 0.835], [0.890, 0.593, 0.165], [0.890, 0.093, 0.335], [0.610, 0.593, 0.665], [0.390, 0.907, 0.165], [0.110, 0.407, 0.835]],
  "ef_ev_per_atom": -2.363,
  "dft_energy_ev_per_atom": -6.87
}